1.
The following is a DFT calculation (PBE+U) of CsSi2Mo3P6O25 after structural relaxation.

**VASP energy**: -272.340 eV per formula unit
**Calculated volume**: 15.2 Å³/atom
**Symmetry**: P-31c, No. 163
**Energy of formation**: -2.666 eV/atom

a b c (Å): 8.456 8.456 18.193
angles (deg): 90.00 90.00 120.00
Fractional positions:
Cs (0.667, 0.333, 0.750)
Cs (0.333, 0.667, 0.250)
Si (0.000, 0.000, 0.588)
Si (0.000, 0.000, 0.412)
Si (0.000, 0.000, 0.912)
Si (0.000, 0.000, 0.088)
Mo (0.667, 0.333, 0.521)
Mo (0.333, 0.667, 0.479)
Mo (0.667, 0.333, 0.979)
Mo (0.333, 0.667, 0.021)
Mo (0.333, 0.667, 0.750)
Mo (0.667, 0.333, 0.250)
P (0.330, 0.378, 0.609)
P (0.670, 0.622, 0.391)
P (0.622, 0.951, 0.609)
P (0.330, 0.951, 0.891)
P (0.378, 0.049, 0.391)
P (0.670, 0.049, 0.109)
P (0.049, 0.670, 0.609)
P (0.622, 0.670, 0.891)
P (0.951, 0.330, 0.391)
P (0.378, 0.330, 0.109)
P (0.049, 0.378, 0.891)
P (0.951, 0.622, 0.109)
O (0.253, 0.443, 0.546)
O (0.747, 0.557, 0.454)
O (0.557, 0.810, 0.546)
O (0.253, 0.810, 0.954)
O (0.443, 0.190, 0.454)
O (0.747, 0.190, 0.046)
O (0.190, 0.747, 0.546)
O (0.557, 0.747, 0.954)
O (0.810, 0.253, 0.454)
O (0.443, 0.253, 0.046)
O (0.190, 0.443, 0.954)
O (0.810, 0.557, 0.046)
O (0.338, 0.461, 0.684)
O (0.662, 0.539, 0.316)
O (0.539, 0.877, 0.684)
O (0.338, 0.877, 0.816)
O (0.461, 0.123, 0.316)
O (0.662, 0.123, 0.184)
O (0.123, 0.662, 0.684)
O (0.539, 0.662, 0.816)
O (0.877, 0.338, 0.316)
O (0.461, 0.338, 0.184)
O (0.123, 0.461, 0.816)
O (0.877, 0.539, 0.184)
O (0.000, 0.000, 0.500)
O (0.000, 0.000, 0.000)
O (0.598, 0.115, 0.590)
O (0.402, 0.885, 0.410)
O (0.885, 0.482, 0.590)
O (0.598, 0.482, 0.910)
O (0.115, 0.518, 0.410)
O (0.402, 0.518, 0.090)
O (0.518, 0.402, 0.590)
O (0.885, 0.402, 0.910)
O (0.482, 0.598, 0.410)
O (0.115, 0.598, 0.090)
O (0.518, 0.115, 0.910)
O (0.482, 0.885, 0.090)
O (0.836, 0.029, 0.619)
O (0.164, 0.971, 0.381)
O (0.971, 0.807, 0.619)
O (0.836, 0.807, 0.881)
O (0.029, 0.193, 0.381)
O (0.164, 0.193, 0.119)
O (0.193, 0.164, 0.619)
O (0.971, 0.164, 0.881)
O (0.807, 0.836, 0.381)
O (0.029, 0.836, 0.119)
O (0.193, 0.029, 0.881)
O (0.807, 0.971, 0.119)

=====

2.
The following is a DFT calculation (PBE+U) of Cs2MoS2O2 after structural relaxation.

**VASP energy**: -36.507 eV per formula unit
**Calculated volume**: 30.7 Å³/atom
**Symmetry**: C2/c, No. 15
**Energy of formation**: -1.612 eV/atom

a b c (Å): 7.223 7.223 10.396
angles (deg): 65.30 65.30 66.19
Fractional positions:
Cs (0.761, 0.649, 0.664)
Cs (0.351, 0.239, 0.836)
Cs (0.239, 0.351, 0.336)
Cs (0.649, 0.761, 0.164)
Mo (0.082, 0.918, 0.750)
Mo (0.918, 0.082, 0.250)
S (0.235, 0.739, 0.932)
S (0.261, 0.765, 0.568)
S (0.765, 0.261, 0.068)
S (0.739, 0.235, 0.432)
O (0.093, 0.186, 0.680)
O (0.814, 0.907, 0.820)
O (0.907, 0.814, 0.320)
O (0.186, 0.093, 0.180)